K2NaCeI6 | PBE | relaxed

Unit cell a=12.468 b=12.468 c=12.468 alpha=90.00 beta=90.00 gamma=90.00
Space group Fm-3m (No. 225)
Unique sites:
K  0.250  0.250  0.250 (multiplicity 8)
Na  0.000  0.000  0.000 (multiplicity 4)
Ce  0.000  0.000  0.500 (multiplicity 4)
I  0.000  0.000  0.250 (multiplicity 24)

Results
- Calculated formation energy: -1.5744 eV/atom
- DFT total energy: -3.2091 eV per atom
- Total energy after the MP2020 corrections: -137.46 eV for the cell shown